1.
NaV2O4 | PBE with a Hubbard U | optimized geometry

a = 5.0922 Å, b = 6.0652 Å, c = 11.4936 Å
α = 90.00°, β = 90.01°, γ = 90.00°
Space group P2_1/m (No. 11)
Symmetry-distinct sites (fractional):
Na 0.0261 0.2500 0.2498 (multiplicity 2)
Na 0.3504 0.2500 0.7502 (multiplicity 2)
V 0.0092 0.7500 0.0081 (multiplicity 2)
V 0.0090 0.7500 0.4920 (multiplicity 2)
V 0.5000 0.0000 0.0000 (multiplicity 2)
V 0.5000 0.0000 0.5000 (multiplicity 2)
O 0.1585 0.5033 0.5927 (multiplicity 4)
O 0.1587 0.5033 0.9072 (multiplicity 4)
O 0.3133 0.2500 0.0834 (multiplicity 2)
O 0.3131 0.2500 0.4166 (multiplicity 2)
O 0.3224 0.7500 0.0938 (multiplicity 2)
O 0.3225 0.7500 0.4065 (multiplicity 2)

Summary:
Calculated volume ... 355.0 Å³/cell
Calculated formation energy ... -2424.7 meV per atom
Energy with MP2020 corrections ... -225.0 eV per cell

2.
Na2VO4 | PBE with a Hubbard U | optimized geometry

a = 6.9636 Å, b = 7.3120 Å, c = 8.5665 Å
α = 84.19°, β = 85.50°, γ = 76.01°
Space group P-1 (No. 2)
Symmetry-distinct sites (fractional):
Na 0.0099 0.1296 0.1678 (multiplicity 2)
Na 0.1769 0.3115 0.4586 (multiplicity 2)
Na 0.3675 0.5044 0.8130 (multiplicity 2)
Na 0.4096 0.0211 0.7887 (multiplicity 2)
V 0.0888 0.6391 0.1900 (multiplicity 2)
V 0.3140 0.8020 0.4540 (multiplicity 2)
O 0.0127 0.5519 0.7909 (multiplicity 2)
O 0.0710 0.1586 0.8820 (multiplicity 2)
O 0.1442 0.6600 0.3944 (multiplicity 2)
O 0.2504 0.0232 0.3565 (multiplicity 2)
O 0.2924 0.8110 0.6540 (multiplicity 2)
O 0.3088 0.5908 0.0745 (multiplicity 2)
O 0.4452 0.2933 0.6077 (multiplicity 2)
O 0.4629 0.2309 0.0038 (multiplicity 2)

Summary:
Calculated volume ... 420.4 Å³/cell
Calculated formation energy ... -2045.3 meV per atom
Energy with MP2020 corrections ... -183.4 eV per cell
Total moment ... 1.000 μB per formula unit

3.
NaV2O5 | PBE with a Hubbard U | optimized geometry

a = 9.9414 Å, b = 3.6752 Å, c = 12.2220 Å
α = 90.00°, β = 90.00°, γ = 90.00°
Space group Pnma (No. 62)
Symmetry-distinct sites (fractional):
Na 0.1581 0.2500 0.2303 (multiplicity 4)
V 0.0674 0.2500 0.5878 (multiplicity 4)
V 0.1224 0.7500 0.9964 (multiplicity 4)
O 0.0143 0.7500 0.2947 (multiplicity 4)
O 0.0564 0.7500 0.5415 (multiplicity 4)
O 0.0718 0.2500 0.0407 (multiplicity 4)
O 0.2128 0.7500 0.8832 (multiplicity 4)
O 0.2394 0.2500 0.6178 (multiplicity 4)

Summary:
Calculated volume ... 446.5 Å³/cell
Calculated formation energy ... -2411.2 meV per atom
Energy with MP2020 corrections ... -254.1 eV per cell

4.
NaV2O4 | PBE with a Hubbard U | optimized geometry

a = 5.1539 Å, b = 5.9969 Å, c = 11.4811 Å
α = 90.24°, β = 90.11°, γ = 90.14°
Space group P1 (No. 1)
Symmetry-distinct sites (fractional):
Na 0.0000 0.0000 0.0000 (multiplicity 1)
Na 0.0601 0.5003 0.4996 (multiplicity 1)
Na 0.3810 0.4962 0.0009 (multiplicity 1)
Na 0.6784 0.9975 0.4999 (multiplicity 1)
V 0.0213 0.4981 0.2414 (multiplicity 1)
V 0.0266 0.5011 0.7586 (multiplicity 1)
V 0.0316 0.0012 0.7403 (multiplicity 1)
V 0.0370 0.9983 0.2581 (multiplicity 1)
V 0.5277 0.2519 0.7509 (multiplicity 1)
V 0.5291 0.2481 0.2499 (multiplicity 1)
V 0.5291 0.7483 0.2498 (multiplicity 1)
V 0.5313 0.7428 0.7489 (multiplicity 1)
O 0.1796 0.7398 0.8423 (multiplicity 1)
O 0.1822 0.2472 0.8441 (multiplicity 1)
O 0.1865 0.2454 0.1567 (multiplicity 1)
O 0.1865 0.7501 0.1565 (multiplicity 1)
O 0.3415 0.4989 0.3329 (multiplicity 1)
O 0.3498 0.4962 0.6633 (multiplicity 1)
O 0.3505 0.9974 0.6601 (multiplicity 1)
O 0.3509 0.9988 0.3424 (multiplicity 1)
O 0.6948 0.4979 0.8432 (multiplicity 1)
O 0.7073 0.4975 0.1574 (multiplicity 1)
O 0.7167 0.9977 0.1664 (multiplicity 1)
O 0.7198 0.9972 0.8324 (multiplicity 1)
O 0.8720 0.2508 0.3430 (multiplicity 1)
O 0.8717 0.7462 0.6547 (multiplicity 1)
O 0.8718 0.7465 0.3428 (multiplicity 1)
O 0.8772 0.2587 0.6573 (multiplicity 1)

Summary:
Calculated volume ... 354.9 Å³/cell
Calculated formation energy ... -2418.6 meV per atom
Energy with MP2020 corrections ... -224.8 eV per cell
Total moment ... 3.000 μB per formula unit

5.
NaV3O6 | PBE with a Hubbard U | optimized geometry

a = 5.6900 Å, b = 8.3716 Å, c = 5.3332 Å
α = 90.00°, β = 114.28°, γ = 90.00°
Space group C2 (No. 5)
Symmetry-distinct sites (fractional):
Na 0.0000 0.0000 0.0000 (multiplicity 2)
V 0.0000 0.4329 0.5000 (multiplicity 2)
V 0.0000 0.6192 0.0000 (multiplicity 2)
V 0.0000 0.8066 0.5000 (multiplicity 2)
O 0.1623 0.6217 0.7373 (multiplicity 4)
O 0.2207 0.7954 0.2837 (multiplicity 4)
O 0.2266 0.4497 0.2840 (multiplicity 4)

Summary:
Calculated volume ... 231.6 Å³/cell
Calculated formation energy ... -2362.0 meV per atom
Energy with MP2020 corrections ... -163.8 eV per cell
Total moment ... 4.000 μB per formula unit

6.
NaV5O10 | PBE with a Hubbard U | optimized geometry

a = 5.6130 Å, b = 5.7115 Å, c = 7.1328 Å
α = 83.34°, β = 68.96°, γ = 64.49°
Space group P1 (No. 1)
Symmetry-distinct sites (fractional):
Na 0.0000 0.0000 0.0000 (multiplicity 1)
V 0.0870 0.4683 0.1074 (multiplicity 1)
V 0.2171 0.4794 0.6391 (multiplicity 1)
V 0.4236 0.9771 0.2629 (multiplicity 1)
V 0.6416 0.4955 0.8678 (multiplicity 1)
V 0.8595 0.9791 0.4970 (multiplicity 1)
O 0.0222 0.3516 0.8968 (multiplicity 1)
O 0.0335 0.1868 0.2815 (multiplicity 1)
O 0.2532 0.7687 0.4621 (multiplicity 1)
O 0.2672 0.6208 0.8478 (multiplicity 1)
O 0.4392 0.1796 0.4888 (multiplicity 1)
O 0.4574 0.2957 0.1020 (multiplicity 1)
O 0.5195 0.7858 0.0547 (multiplicity 1)
O 0.7615 0.1894 0.6918 (multiplicity 1)
O 0.8447 0.6629 0.6430 (multiplicity 1)
O 0.8557 0.7693 0.2575 (multiplicity 1)

Summary:
Calculated volume ... 192.4 Å³/cell
Calculated formation energy ... -2410.8 meV per atom
Energy with MP2020 corrections ... -134.8 eV per cell
Total moment ... 6.000 μB per formula unit

7.
Na9V14O35 | PBE with a Hubbard U | optimized geometry

a = 15.3636 Å, b = 5.2218 Å, c = 21.0516 Å
α = 90.00°, β = 109.07°, γ = 90.00°
Space group P2/c (No. 13)
Symmetry-distinct sites (fractional):
Na 0.0000 0.0904 0.2500 (multiplicity 2)
Na 0.1334 0.1326 0.4225 (multiplicity 4)
Na 0.2174 0.1127 0.1978 (multiplicity 4)
Na 0.3493 0.1217 0.3838 (multiplicity 4)
Na 0.4310 0.1281 0.1515 (multiplicity 4)
V 0.0643 0.4180 0.6514 (multiplicity 4)
V 0.0911 0.3886 0.0204 (multiplicity 4)
V 0.1440 0.4261 0.8179 (multiplicity 4)
V 0.2761 0.3991 0.6069 (multiplicity 4)
V 0.3003 0.4000 0.9761 (multiplicity 4)
V 0.4028 0.3540 0.7686 (multiplicity 4)
V 0.4882 0.3996 0.5651 (multiplicity 4)
O 0.0081 0.4606 0.4416 (multiplicity 4)
O 0.0416 0.4484 0.3266 (multiplicity 4)
O 0.0645 0.1004 0.6576 (multiplicity 4)
O 0.0982 0.0808 0.0086 (multiplicity 4)
O 0.1382 0.1057 0.8206 (multiplicity 4)
O 0.1469 0.4628 0.2389 (multiplicity 4)
O 0.1614 0.4647 0.1148 (multiplicity 4)
O 0.2022 0.4666 0.5102 (multiplicity 4)
O 0.2363 0.4519 0.3857 (multiplicity 4)
O 0.2888 0.0868 0.6232 (multiplicity 4)
O 0.2906 0.0865 0.9628 (multiplicity 4)
O 0.3348 0.1230 0.7809 (multiplicity 4)
O 0.3471 0.4531 0.1989 (multiplicity 4)
O 0.3720 0.4659 0.0728 (multiplicity 4)
O 0.4165 0.4600 0.4685 (multiplicity 4)
O 0.4470 0.4552 0.3407 (multiplicity 4)
O 0.5003 0.0867 0.5813 (multiplicity 4)
O 0.5000 0.1933 0.7500 (multiplicity 2)

Summary:
Calculated volume ... 1596.2 Å³/cell
Calculated formation energy ... -2410.2 meV per atom
Energy with MP2020 corrections ... -904.1 eV per cell
Total moment ... 9.000 μB per formula unit

8.
NaV2O4 | PBE with a Hubbard U | optimized geometry

a = 6.0400 Å, b = 6.0400 Å, c = 9.0570 Å
α = 90.00°, β = 90.00°, γ = 90.00°
Space group I4_1/amd (No. 141, origin choice 2)
Symmetry-distinct sites (fractional):
Na 0.0000 0.2500 0.3750 (multiplicity 4)
V 0.0000 0.0000 0.0000 (multiplicity 8)
O 0.0000 0.0353 0.7720 (multiplicity 16)

Summary:
Calculated volume ... 330.4 Å³/cell
Calculated formation energy ... -2367.2 meV per atom
Energy with MP2020 corrections ... -223.4 eV per cell
Total moment ... 3.000 μB per formula unit

9.
NaV5O8 | PBE with a Hubbard U | optimized geometry

a = 8.6483 Å, b = 8.6483 Å, c = 8.6483 Å
α = 90.00°, β = 90.00°, γ = 90.00°
Space group P4_332 (No. 212)
Symmetry-distinct sites (fractional):
Na 0.1250 0.1250 0.1250 (multiplicity 4)
V 0.9998 0.0002 0.5002 (multiplicity 8)
V 0.1243 0.3750 0.3743 (multiplicity 12)
O 0.1080 0.8588 0.1144 (multiplicity 24)
O 0.1153 0.3847 0.6153 (multiplicity 8)

Summary:
Calculated volume ... 646.8 Å³/cell
Calculated formation energy ... -2416.5 meV per atom
Energy with MP2020 corrections ... -480.6 eV per cell
Total moment ... 10.000 μB per formula unit
Maximum piezoelectric response ... 0.0 C/m²

10.
Na3VO4 | PBE with a Hubbard U | optimized geometry

a = 5.0941 Å, b = 5.0941 Å, c = 9.5514 Å
α = 90.00°, β = 90.00°, γ = 90.00°
Space group I-42m (No. 121)
Symmetry-distinct sites (fractional):
Na 0.0000 0.0000 0.0000 (multiplicity 2)
Na 0.0000 0.5000 0.2500 (multiplicity 4)
V 0.0000 0.0000 0.5000 (multiplicity 2)
O 0.1993 0.1993 0.6050 (multiplicity 8)

Summary:
Calculated volume ... 247.9 Å³/cell
Calculated formation energy ... -2275.7 meV per atom
Energy with MP2020 corrections ... -102.1 eV per cell
Maximum piezoelectric response ... 0.6 C/m²

Please write out number 2 again, unchanged.
Na2VO4 | PBE with a Hubbard U | optimized geometry

a = 6.9636 Å, b = 7.3120 Å, c = 8.5665 Å
α = 84.19°, β = 85.50°, γ = 76.01°
Space group P-1 (No. 2)
Symmetry-distinct sites (fractional):
Na 0.0099 0.1296 0.1678 (multiplicity 2)
Na 0.1769 0.3115 0.4586 (multiplicity 2)
Na 0.3675 0.5044 0.8130 (multiplicity 2)
Na 0.4096 0.0211 0.7887 (multiplicity 2)
V 0.0888 0.6391 0.1900 (multiplicity 2)
V 0.3140 0.8020 0.4540 (multiplicity 2)
O 0.0127 0.5519 0.7909 (multiplicity 2)
O 0.0710 0.1586 0.8820 (multiplicity 2)
O 0.1442 0.6600 0.3944 (multiplicity 2)
O 0.2504 0.0232 0.3565 (multiplicity 2)
O 0.2924 0.8110 0.6540 (multiplicity 2)
O 0.3088 0.5908 0.0745 (multiplicity 2)
O 0.4452 0.2933 0.6077 (multiplicity 2)
O 0.4629 0.2309 0.0038 (multiplicity 2)

Summary:
Calculated volume ... 420.4 Å³/cell
Calculated formation energy ... -2045.3 meV per atom
Energy with MP2020 corrections ... -183.4 eV per cell
Total moment ... 1.000 μB per formula unit